Entry 1:
# MgBiW2O8 (PBE with a Hubbard U, optimized geometry)
data_MgBiW2O8
_cell_length_a 5.414
_cell_length_b 6.084
_cell_length_c 6.250
_cell_angle_alpha 72.14
_cell_angle_beta 64.88
_cell_angle_gamma 88.05
_space_group_name_H-M_alt 'P 1'
_space_group_IT_number 1
loop_
_space_group_symop_operation_xyz
'x,y,z'
loop_
_atom_site_label
_atom_site_type_symbol
_atom_site_fract_x
_atom_site_fract_y
_atom_site_fract_z
Mg1 Mg 0.000 0.000 0.000
Bi1 Bi 0.343 0.167 0.369
W1 W 0.076 0.508 0.907
W2 W 0.541 0.796 0.919
O1 O 0.055 0.336 0.720
O2 O 0.063 0.227 0.160
O3 O 0.139 0.693 0.125
O4 O 0.453 0.595 0.735
O5 O 0.496 0.053 0.695
O6 O 0.592 0.954 0.140
O7 O 0.649 0.488 0.104
O8 O 0.980 0.824 0.753
# raw total energy = -6.88 eV per atom
# spin magnetization = 1.00 μB per formula unit
# E above lowest polymorph = 0.028 eV/atom
# MP2020-corrected energy = -8.079 eV/atom
# ΔH_f (0 K) = -2.163 eV/atom


Entry 2:
# La7SmMn3Fe5O20 (PBE with a Hubbard U, optimized geometry)
data_La7SmMn3Fe5O20
_cell_length_a 11.045
_cell_length_b 11.847
_cell_length_c 17.831
_cell_angle_alpha 70.62
_cell_angle_beta 71.98
_cell_angle_gamma 89.97
_space_group_name_H-M_alt 'P 1'
_space_group_IT_number 1
loop_
_space_group_symop_operation_xyz
'x,y,z'
loop_
_atom_site_label
_atom_site_type_symbol
_atom_site_fract_x
_atom_site_fract_y
_atom_site_fract_z
La1 La 0.000 0.000 0.000
La2 La 0.000 0.001 0.499
La3 La 0.000 0.499 0.001
La4 La 0.138 0.140 0.222
La5 La 0.138 0.639 0.222
La6 La 0.138 0.641 0.719
La7 La 0.140 0.140 0.719
La8 La 0.250 0.229 0.001
La9 La 0.251 0.727 0.500
La10 La 0.251 0.729 0.000
La11 La 0.254 0.230 0.499
La12 La 0.388 0.370 0.719
La13 La 0.390 0.369 0.219
La14 La 0.391 0.868 0.220
La15 La 0.394 0.869 0.718
La16 La 0.500 0.000 0.000
La17 La 0.502 0.500 0.998
La18 La 0.506 0.498 0.498
La19 La 0.640 0.638 0.221
La20 La 0.641 0.140 0.220
La21 La 0.642 0.141 0.717
La22 La 0.643 0.639 0.720
La23 La 0.749 0.228 0.999
La24 La 0.752 0.729 0.998
La25 La 0.754 0.729 0.499
La26 La 0.888 0.368 0.223
La27 La 0.889 0.370 0.719
La28 La 0.890 0.868 0.221
Sm1 Sm 0.002 0.501 0.500
Sm2 Sm 0.504 0.002 0.502
Sm3 Sm 0.751 0.229 0.498
Sm4 Sm 0.894 0.868 0.717
Mn1 Mn 0.080 0.338 0.362
Mn2 Mn 0.083 0.338 0.859
Mn3 Mn 0.083 0.837 0.859
Mn4 Mn 0.084 0.837 0.360
Mn5 Mn 0.333 0.530 0.360
Mn6 Mn 0.335 0.031 0.859
Mn7 Mn 0.336 0.532 0.859
Mn8 Mn 0.337 0.031 0.361
Mn9 Mn 0.585 0.840 0.361
Mn10 Mn 0.588 0.838 0.858
Mn11 Mn 0.834 0.532 0.859
Mn12 Mn 0.835 0.031 0.857
Fe1 Fe 0.188 0.434 0.110
Fe2 Fe 0.188 0.435 0.608
Fe3 Fe 0.188 0.934 0.110
Fe4 Fe 0.189 0.936 0.609
Fe5 Fe 0.438 0.184 0.110
Fe6 Fe 0.438 0.685 0.109
Fe7 Fe 0.440 0.186 0.608
Fe8 Fe 0.440 0.686 0.607
Fe9 Fe 0.582 0.332 0.858
Fe10 Fe 0.584 0.330 0.361
Fe11 Fe 0.688 0.934 0.110
Fe12 Fe 0.689 0.435 0.110
Fe13 Fe 0.690 0.434 0.608
Fe14 Fe 0.690 0.935 0.608
Fe15 Fe 0.829 0.038 0.361
Fe16 Fe 0.834 0.534 0.362
Fe17 Fe 0.938 0.184 0.110
Fe18 Fe 0.938 0.185 0.608
Fe19 Fe 0.939 0.684 0.110
Fe20 Fe 0.939 0.684 0.609
O1 O 0.024 0.006 0.360
O2 O 0.026 0.508 0.860
O3 O 0.027 0.008 0.860
O4 O 0.027 0.508 0.365
O5 O 0.053 0.049 0.634
O6 O 0.055 0.551 0.132
O7 O 0.056 0.052 0.132
O8 O 0.057 0.551 0.631
O9 O 0.078 0.317 0.088
O10 O 0.078 0.319 0.584
O11 O 0.078 0.817 0.087
O12 O 0.079 0.815 0.589
O13 O 0.091 0.820 0.748
O14 O 0.098 0.319 0.250
O15 O 0.100 0.318 0.748
O16 O 0.100 0.819 0.249
O17 O 0.229 0.550 0.470
O18 O 0.235 0.053 0.470
O19 O 0.239 0.051 0.970
O20 O 0.239 0.550 0.970
O21 O 0.275 0.360 0.360
O22 O 0.276 0.361 0.859
O23 O 0.277 0.862 0.859
O24 O 0.278 0.863 0.360
O25 O 0.305 0.547 0.632
O26 O 0.306 0.546 0.132
O27 O 0.307 0.047 0.130
O28 O 0.309 0.048 0.628
O29 O 0.328 0.325 0.088
O30 O 0.329 0.327 0.587
O31 O 0.329 0.825 0.087
O32 O 0.334 0.831 0.583
O33 O 0.348 0.663 0.748
O34 O 0.349 0.661 0.249
O35 O 0.351 0.161 0.250
O36 O 0.351 0.162 0.747
O37 O 0.487 0.704 0.469
O38 O 0.491 0.708 0.969
O39 O 0.492 0.208 0.470
O40 O 0.493 0.211 0.970
O41 O 0.526 0.503 0.359
O42 O 0.528 0.009 0.365
O43 O 0.528 0.505 0.859
O44 O 0.529 0.008 0.858
O45 O 0.556 0.552 0.132
O46 O 0.557 0.052 0.131
O47 O 0.557 0.551 0.631
O48 O 0.561 0.054 0.626
O49 O 0.578 0.316 0.090
O50 O 0.579 0.818 0.086
O51 O 0.580 0.821 0.582
O52 O 0.582 0.314 0.585
O53 O 0.597 0.818 0.747
O54 O 0.599 0.818 0.250
O55 O 0.603 0.321 0.748
O56 O 0.605 0.320 0.250
O57 O 0.734 0.052 0.470
O58 O 0.738 0.550 0.971
O59 O 0.739 0.049 0.969
O60 O 0.740 0.550 0.470
O61 O 0.776 0.363 0.859
O62 O 0.777 0.360 0.365
O63 O 0.779 0.864 0.360
O64 O 0.783 0.861 0.854
O65 O 0.805 0.043 0.133
O66 O 0.806 0.041 0.636
O67 O 0.806 0.545 0.132
O68 O 0.810 0.545 0.629
O69 O 0.827 0.321 0.090
O70 O 0.827 0.822 0.089
O71 O 0.829 0.824 0.589
O72 O 0.831 0.327 0.581
O73 O 0.849 0.164 0.748
O74 O 0.850 0.663 0.748
O75 O 0.852 0.159 0.250
O76 O 0.854 0.656 0.251
O77 O 0.976 0.205 0.470
O78 O 0.987 0.208 0.971
O79 O 0.987 0.708 0.970
O80 O 0.989 0.705 0.471
# raw total energy = -7.74 eV per atom
# spin magnetization = 34.98 μB per formula unit
# MP2020-corrected energy = -8.579 eV/atom
# ΔH_f (0 K) = -2.799 eV/atom


Entry 3:
# GdCrO4 (PBE with a Hubbard U, optimized geometry)
data_GdCrO4
_cell_length_a 10.246
_cell_length_b 6.364
_cell_length_c 7.270
_cell_angle_alpha 90.00
_cell_angle_beta 134.74
_cell_angle_gamma 90.00
_space_group_name_H-M_alt 'C 1 2 1'
_space_group_IT_number 5
loop_
_space_group_symop_operation_xyz
'x,y,z'
'-x,y,-z'
'x+1/2,y+1/2,z'
'-x+1/2,y+1/2,-z'
loop_
_atom_site_label
_atom_site_type_symbol
_atom_site_fract_x
_atom_site_fract_y
_atom_site_fract_z
Gd1 Gd 0.000 0.000 0.000
Gd2 Gd 0.000 0.250 0.500
Cr1 Cr 0.000 0.500 0.000
Cr2 Cr 0.000 0.750 0.500
O1 O 0.015 0.326 0.196
O2 O 0.016 0.924 0.335
O3 O 0.182 0.576 0.685
O4 O 0.182 0.674 0.175
# raw total energy = -9.20 eV per atom
# spin magnetization = 6.00 μB per formula unit
# MP2020-corrected energy = -9.993 eV/atom
# ΔH_f (0 K) = -2.739 eV/atom


Entry 4:
# Li9Mn22O48 (PBE with a Hubbard U, optimized geometry)
data_Li9Mn22O48
_cell_length_a 10.202
_cell_length_b 5.877
_cell_length_c 28.722
_cell_angle_alpha 90.00
_cell_angle_beta 91.16
_cell_angle_gamma 90.00
_space_group_name_H-M_alt 'C 1 m 1'
_space_group_IT_number 8
loop_
_space_group_symop_operation_xyz
'x,y,z'
'x,-y,z'
'x+1/2,y+1/2,z'
'x+1/2,-y+1/2,z'
loop_
_atom_site_label
_atom_site_type_symbol
_atom_site_fract_x
_atom_site_fract_y
_atom_site_fract_z
Li1 Li 0.000 0.000 0.000
Li2 Li 0.001 0.000 0.132
Li3 Li 0.004 0.000 0.504
Li4 Li 0.161 0.500 0.294
Li5 Li 0.166 0.500 0.798
Li6 Li 0.173 0.500 0.172
Li7 Li 0.328 0.000 0.960
Li8 Li 0.332 0.000 0.334
Li9 Li 0.340 0.000 0.839
Mn1 Mn 0.000 0.000 0.819
Mn2 Mn 0.000 0.500 0.066
Mn3 Mn 0.001 0.500 0.567
Mn4 Mn 0.083 0.250 0.400
Mn5 Mn 0.084 0.250 0.899
Mn6 Mn 0.166 0.000 0.733
Mn7 Mn 0.167 0.500 0.980
Mn8 Mn 0.171 0.500 0.482
Mn9 Mn 0.250 0.250 0.066
Mn10 Mn 0.251 0.249 0.567
Mn11 Mn 0.329 0.000 0.650
Mn12 Mn 0.334 0.000 0.152
Mn13 Mn 0.334 0.500 0.400
Mn14 Mn 0.417 0.250 0.233
Mn15 Mn 0.417 0.250 0.733
Mn16 Mn 0.499 0.500 0.314
O1 O 0.015 0.500 0.938
O2 O 0.016 0.000 0.933
O3 O 0.024 0.500 0.438
O4 O 0.057 0.234 0.278
O5 O 0.076 0.223 0.771
O6 O 0.090 0.277 0.028
O7 O 0.101 0.273 0.524
O8 O 0.146 0.000 0.361
O9 O 0.152 0.500 0.866
O10 O 0.153 0.000 0.860
O11 O 0.164 0.500 0.102
O12 O 0.168 0.500 0.599
O13 O 0.170 0.500 0.364
O14 O 0.184 0.000 0.604
O15 O 0.187 0.000 0.105
O16 O 0.225 0.266 0.945
O17 O 0.243 0.282 0.439
O18 O 0.258 0.220 0.695
O19 O 0.276 0.234 0.188
O20 O 0.314 0.500 0.027
O21 O 0.319 0.500 0.528
O22 O 0.334 0.000 0.534
O23 O 0.335 0.000 0.768
O24 O 0.336 0.000 0.031
O25 O 0.347 0.500 0.272
O26 O 0.348 0.000 0.267
O27 O 0.353 0.500 0.772
O28 O 0.397 0.226 0.609
O29 O 0.411 0.223 0.104
O30 O 0.422 0.278 0.362
O31 O 0.443 0.266 0.854
O32 O 0.477 0.000 0.695
O33 O 0.485 0.500 0.199
O34 O 0.486 0.000 0.194
O35 O 0.497 0.500 0.699
O36 O 0.498 0.500 0.435
# raw total energy = -6.81 eV per atom
# spin magnetization = 67.00 μB per formula unit
# MP2020-corrected energy = -7.690 eV/atom
# ΔH_f (0 K) = -1.915 eV/atom


Entry 5:
# Li2MnF5 (PBE with a Hubbard U, optimized geometry)
data_Li2MnF5
_cell_length_a 8.517
_cell_length_b 7.441
_cell_length_c 6.068
_cell_angle_alpha 90.00
_cell_angle_beta 90.00
_cell_angle_gamma 90.00
_space_group_name_H-M_alt 'P n a 21'
_space_group_IT_number 33
loop_
_space_group_symop_operation_xyz
'x,y,z'
'-x,-y,z+1/2'
'-x+1/2,y+1/2,z+1/2'
'x+1/2,-y+1/2,z'
loop_
_atom_site_label
_atom_site_type_symbol
_atom_site_fract_x
_atom_site_fract_y
_atom_site_fract_z
Li1 Li 0.131 0.078 0.000
Li2 Li 0.137 0.080 0.512
Mn1 Mn 0.004 0.483 0.264
F1 F 0.009 0.004 0.257
F2 F 0.072 0.340 0.998
F3 F 0.074 0.341 0.529
F4 F 0.190 0.626 0.766
F5 F 0.202 0.587 0.262
# raw total energy = -5.26 eV per atom
# piezoelectric modulus e_max = 0.1 C/m2
# spin magnetization = 4.00 μB per formula unit
# E above lowest polymorph = 0.062 eV/atom
# MP2020-corrected energy = -5.754 eV/atom
# ΔH_f (0 K) = -2.935 eV/atom


Entry 6:
# Sr10Mg5Mo4WO30 (PBE with a Hubbard U, optimized geometry)
data_Sr10Mg5Mo4WO30
_cell_length_a 5.645
_cell_length_b 5.658
_cell_length_c 23.380
_cell_angle_alpha 83.46
_cell_angle_beta 83.07
_cell_angle_gamma 60.09
_space_group_name_H-M_alt 'P -1'
_space_group_IT_number 2
loop_
_space_group_symop_operation_xyz
'x,y,z'
'-x,-y,-z'
loop_
_atom_site_label
_atom_site_type_symbol
_atom_site_fract_x
_atom_site_fract_y
_atom_site_fract_z
Sr1 Sr 0.050 0.050 0.350
Sr2 Sr 0.150 0.150 0.051
Sr3 Sr 0.250 0.250 0.750
Sr4 Sr 0.350 0.350 0.450
Sr5 Sr 0.449 0.450 0.151
Mg1 Mg 0.000 0.000 0.500
Mg2 Mg 0.200 0.200 0.900
Mg3 Mg 0.400 0.400 0.300
Mo1 Mo 0.100 0.100 0.200
Mo2 Mo 0.300 0.300 0.600
W1 W 0.500 0.500 0.000
O1 O 0.008 0.046 0.857
O2 O 0.030 0.555 0.846
O3 O 0.061 0.567 0.359
O4 O 0.138 0.633 0.041
O5 O 0.170 0.645 0.554
O6 O 0.192 0.154 0.543
O7 O 0.208 0.246 0.257
O8 O 0.230 0.755 0.246
O9 O 0.261 0.767 0.759
O10 O 0.339 0.833 0.441
O11 O 0.370 0.846 0.954
O12 O 0.392 0.354 0.942
O13 O 0.408 0.446 0.657
O14 O 0.430 0.955 0.646
O15 O 0.461 0.967 0.159
# raw total energy = -6.73 eV per atom
# MP2020-corrected energy = -7.483 eV/atom
# ΔH_f (0 K) = -2.890 eV/atom